Below is a relaxed structure of Sr2MgCoO4, with properties calculated at the GGA+U level.

Cell: 3.8529 3.8946 9.8815 Å, 101.37 101.24 90.00°
Closest atoms and distances in Å follow each position.
Atoms (fractional coordinates):
Mg: 0.5000 0.5000 0.0000  4 O 1.93-1.95
Sr: 0.3138 0.3138 0.6277  1 O 2.34
Sr: 0.6862 0.6862 0.3723  1 O 2.34
O: 0.5000 0.0000 0.0000  2 Co 1.93, 2 Mg 1.95
O: 0.0000 0.5000 0.0000  2 Mg 1.93, 2 Co 1.95
O: 0.1905 0.1905 0.3810  1 Sr 2.34
O: 0.8095 0.8095 0.6190  1 Sr 2.34
Co: 0.0000 0.0000 0.0000  4 O 1.93-1.95

Output
* symmetry: No. 71
* E_tot: -5.63 eV/atom
* magnetic moment: 3.0 μB/f.u.

---

Below is a relaxed structure of Sr2MgCoWO6, with properties calculated at the GGA+U level.

Cell: 6.1762 6.7876 6.2924 Å, 131.57 127.08 72.05°
Closest atoms and distances in Å follow each position.
Atoms (fractional coordinates):
Sr: 0.7988 0.3080 0.5207  4 O 2.44-2.69
Sr: 0.2012 0.6920 0.4792  4 O 2.44-2.69
Mg: 0.5000 0.0000 0.5000  6 O 2.03-2.24
Co: 0.0000 0.0000 0.0000  4 O 1.99-2.09
W: 0.5001 0.5002 0.0001  6 O 2.02-2.19
O: 0.1792 0.7048 0.0489  1 Mg 2.03, 1 Co 2.09, 1 W 2.10
O: 0.6594 0.8364 0.1799  1 W 2.02, 1 Mg 2.24
O: 0.8208 0.2952 0.9511  1 Mg 2.03, 1 Co 2.09, 1 W 2.10
O: 0.6906 0.7133 0.5422  1 Co 1.99, 1 Mg 2.03, 1 W 2.18
O: 0.3094 0.2867 0.4578  1 Co 1.99, 1 Mg 2.04, 1 W 2.19
O: 0.3406 0.1635 0.8200  1 W 2.02, 1 Mg 2.24

Output
* symmetry: No. 2
* E_tot: -6.40 eV/atom
* magnetic moment: 1.0 μB/f.u.

---

Below is a relaxed structure of Sr2MgCoWO6, with properties calculated at the GGA+U level.

Cell: 6.9930 6.6480 5.4162 Å, 113.57 122.39 101.12°
Closest atoms and distances in Å follow each position.
Atoms (fractional coordinates):
O: 0.8258 0.6804 0.5508  1 Co 1.90, 1 W 2.08
O: 0.3092 0.5967 0.1407  1 W 1.95, 1 Mg 2.13
O: 0.1742 0.3197 0.4492  1 Co 1.90, 1 W 2.08
O: 0.3977 0.2041 0.0329  1 W 2.07, 1 Mg 2.08
O: 0.6023 0.7959 0.9671  1 W 2.07, 1 Mg 2.08
O: 0.6908 0.4033 0.8593  1 W 1.95, 1 Mg 2.13
Mg: 0.5000 0.5000 0.5001  6 O 2.08-2.17
Sr: 0.8230 0.2319 0.4973  5 O 2.43-2.64
Sr: 0.1770 0.7681 0.5027  5 O 2.43-2.64
Co: 0.0000 0.0000 0.0000  2 O 1.90
W: 0.5000 0.5000 0.9999  6 O 1.95-2.08

Output
* symmetry: No. 2
* E_tot: -6.43 eV/atom
* magnetic moment: 3.0 μB/f.u.

---

Calculated energy of formation (meV/atom), listed in the same order as above: -2194.8; -2353.3; -2380.5